Compound: Li2LaTl
Source: Materials Project
Functional: PBE
Structure: optimized geometry

The structure in POSCAR format:
```
Li2LaTl
1.0
7.1311 0.0000 0.0000
0.0000 7.1311 0.0000
0.0000 0.0000 7.1311
Li La Tl
8 4 4
direct
0.2500 0.2500 0.2500 Li
0.2500 0.2500 0.7500 Li
0.2500 0.7500 0.2500 Li
0.2500 0.7500 0.7500 Li
0.7500 0.2500 0.2500 Li
0.7500 0.2500 0.7500 Li
0.7500 0.7500 0.2500 Li
0.7500 0.7500 0.7500 Li
0.0000 0.0000 0.0000 La
0.0000 0.5000 0.5000 La
0.5000 0.0000 0.5000 La
0.5000 0.5000 0.0000 La
0.0000 0.0000 0.5000 Tl
0.0000 0.5000 0.0000 Tl
0.5000 0.0000 0.0000 Tl
0.5000 0.5000 0.5000 Tl
```

Values from the calculation:
total DFT energy (no corrections): -48.7 eV for the cell shown
energy of formation: -0.267 eV per atom
SG: No. 225

Compound: LiLaTl2
Source: Materials Project
Functional: PBE
Structure: optimized geometry

The structure in POSCAR format:
```
LiLaTl2
1.0
7.6022 0.0000 0.0000
0.0000 7.6022 0.0000
0.0000 0.0000 7.6022
Li La Tl
4 4 8
direct
0.0000 0.0000 0.0000 Li
0.0000 0.5000 0.5000 Li
0.5000 0.0000 0.5000 Li
0.5000 0.5000 0.0000 Li
0.0000 0.0000 0.5000 La
0.0000 0.5000 0.0000 La
0.5000 0.0000 0.0000 La
0.5000 0.5000 0.5000 La
0.2500 0.2500 0.2500 Tl
0.2500 0.2500 0.7500 Tl
0.2500 0.7500 0.2500 Tl
0.2500 0.7500 0.7500 Tl
0.7500 0.2500 0.2500 Tl
0.7500 0.2500 0.7500 Tl
0.7500 0.7500 0.2500 Tl
0.7500 0.7500 0.7500 Tl
```

Values from the calculation:
total DFT energy (no corrections): -52.0 eV for the cell shown
energy of formation: -0.361 eV per atom
SG: No. 225

Compound: LaLuMg2
Source: Materials Project
Functional: PBE
Structure: optimized geometry

The structure in POSCAR format:
```
LaLuMg2
1.0
7.7066 0.0000 0.0000
0.0000 7.7066 0.0000
0.0000 0.0000 7.7066
La Lu Mg
4 4 8
direct
0.0000 0.0000 0.0000 La
0.0000 0.5000 0.5000 La
0.5000 0.0000 0.5000 La
0.5000 0.5000 0.0000 La
0.0000 0.0000 0.5000 Lu
0.0000 0.5000 0.0000 Lu
0.5000 0.0000 0.0000 Lu
0.5000 0.5000 0.5000 Lu
0.2500 0.2500 0.2500 Mg
0.2500 0.2500 0.7500 Mg
0.2500 0.7500 0.2500 Mg
0.2500 0.7500 0.7500 Mg
0.7500 0.2500 0.2500 Mg
0.7500 0.2500 0.7500 Mg
0.7500 0.7500 0.2500 Mg
0.7500 0.7500 0.7500 Mg
```

Values from the calculation:
total DFT energy (no corrections): -51.9 eV for the cell shown
energy of formation: -0.080 eV per atom
SG: No. 225

Compound: LaLuO3
Source: Materials Project
Functional: PBE
Structure: optimized geometry

The structure in POSCAR format:
```
LaLuO3
1.0
6.0145 0.0000 0.0000
0.0000 8.3808 0.0000
0.0000 0.0000 5.8180
La Lu O
4 4 12
direct
0.0488 0.2500 0.0137 La
0.4512 0.7500 0.5137 La
0.5488 0.2500 0.4863 La
0.9512 0.7500 0.9863 La
0.0000 0.0000 0.5000 Lu
0.0000 0.5000 0.5000 Lu
0.5000 0.0000 0.0000 Lu
0.5000 0.5000 0.0000 Lu
0.0526 0.7500 0.3802 O
0.1949 0.5630 0.8068 O
0.1949 0.9370 0.8068 O
0.3051 0.0630 0.3068 O
0.3051 0.4370 0.3068 O
0.4474 0.2500 0.8802 O
0.5526 0.7500 0.1198 O
0.6949 0.5630 0.6932 O
0.6949 0.9370 0.6932 O
0.8051 0.0630 0.1932 O
0.8051 0.4370 0.1932 O
0.9474 0.2500 0.6198 O
```

Values from the calculation:
total DFT energy (no corrections): -168.7 eV for the cell shown
energy of formation: -3.989 eV per atom
SG: No. 62

Compound: LaMg2
Source: Materials Project
Functional: PBE
Structure: optimized geometry

The structure in POSCAR format:
```
LaMg2
1.0
10.3510 0.0000 0.0000
0.0000 5.8090 0.0000
-3.1470 0.0000 5.6417
La Mg
4 8
direct
0.0000 0.0847 0.2500 La
0.0000 0.9153 0.7500 La
0.5000 0.4153 0.7500 La
0.5000 0.5847 0.2500 La
0.1662 0.4185 0.7482 Mg
0.1662 0.5815 0.2482 Mg
0.3338 0.0815 0.2518 Mg
0.3338 0.9185 0.7518 Mg
0.6662 0.0815 0.2482 Mg
0.6662 0.9185 0.7482 Mg
0.8338 0.4185 0.7518 Mg
0.8338 0.5815 0.2518 Mg
```

Values from the calculation:
total DFT energy (no corrections): -32.7 eV for the cell shown
energy of formation: -0.016 eV per atom
magnetization: 0.05 μB/cell
SG: No. 15

Compound: La2Mg
Source: Materials Project
Functional: PBE
Structure: optimized geometry

The structure in POSCAR format:
```
La2Mg
1.0
12.4801 0.0000 0.0000
0.0000 3.7412 0.0000
-3.1147 0.0000 8.3552
La Mg
8 4
direct
0.0189 0.0000 0.2423 La
0.1708 0.5000 0.6190 La
0.3292 0.0000 0.3810 La
0.4811 0.5000 0.7577 La
0.5189 0.5000 0.2423 La
0.6708 0.0000 0.6190 La
0.8292 0.5000 0.3810 La
0.9811 0.0000 0.7577 La
0.1729 0.5000 0.0507 Mg
0.3271 0.0000 0.9493 Mg
0.6729 0.0000 0.0507 Mg
0.8271 0.5000 0.9493 Mg
```

Values from the calculation:
total DFT energy (no corrections): -46.1 eV for the cell shown
energy of formation: -0.017 eV per atom
excess energy over the best structure of this formula in the dataset: 0.08 eV/f.u.
magnetization: 1.15 μB/cell
SG: No. 12

Compound: La2Mg
Source: Materials Project
Functional: PBE
Structure: optimized geometry

The structure in POSCAR format:
```
La2Mg
1.0
3.6453 0.0000 0.0000
0.0000 18.5484 0.0000
0.0000 0.0000 5.7497
La Mg
8 4
direct
0.0000 0.0556 0.2500 La
0.0000 0.2751 0.7500 La
0.0000 0.7249 0.2500 La
0.0000 0.9444 0.7500 La
0.5000 0.2249 0.2500 La
0.5000 0.4444 0.7500 La
0.5000 0.5556 0.2500 La
0.5000 0.7751 0.7500 La
0.0000 0.3889 0.2500 Mg
0.0000 0.6111 0.7500 Mg
0.5000 0.1111 0.7500 Mg
0.5000 0.8889 0.2500 Mg
```

Values from the calculation:
total DFT energy (no corrections): -45.6 eV for the cell shown
energy of formation: 0.022 eV per atom
excess energy over the best structure of this formula in the dataset: 0.20 eV/f.u.
magnetization: 0.00 μB/cell
SG: No. 63

Compound: La3Mg
Source: Materials Project
Functional: PBE
Structure: optimized geometry

The structure in POSCAR format:
```
La3Mg
1.0
7.3324 0.0000 0.0000
-3.6662 6.3500 0.0000
0.0000 0.0000 5.7498
La Mg
6 2
direct
0.1754 0.3508 0.2500 La
0.1754 0.8246 0.2500 La
0.3508 0.1754 0.7500 La
0.6492 0.8246 0.2500 La
0.8246 0.1754 0.7500 La
0.8246 0.6492 0.7500 La
0.3333 0.6667 0.7500 Mg
0.6667 0.3333 0.2500 Mg
```

Values from the calculation:
total DFT energy (no corrections): -32.9 eV for the cell shown
energy of formation: -0.005 eV per atom
SG: No. 194

Compound: LaMg2
Source: Materials Project
Functional: PBE
Structure: optimized geometry

The structure in POSCAR format:
```
LaMg2
1.0
10.1062 0.0000 0.0000
0.0000 6.0712 0.0000
0.0000 0.0000 5.5390
La Mg
4 8
direct
0.0000 0.1809 0.2500 La
0.0000 0.8191 0.7500 La
0.5000 0.3191 0.7500 La
0.5000 0.6809 0.2500 La
0.1682 0.3425 0.7500 Mg
0.1682 0.6575 0.2500 Mg
0.3318 0.1575 0.2500 Mg
0.3318 0.8425 0.7500 Mg
0.6682 0.1575 0.2500 Mg
0.6682 0.8425 0.7500 Mg
0.8318 0.3425 0.7500 Mg
0.8318 0.6575 0.2500 Mg
```

Values from the calculation:
total DFT energy (no corrections): -32.5 eV for the cell shown
energy of formation: 0.000 eV per atom
magnetization: 0.00 μB/cell
SG: No. 63

Compound: LaMg2
Source: Materials Project
Functional: PBE
Structure: optimized geometry

The structure in POSCAR format:
```
LaMg2
1.0
12.4210 0.0000 0.0000
0.0000 3.4346 0.0000
-2.0094 0.0000 7.8227
La Mg
4 8
direct
0.1433 0.0000 0.0455 La
0.3567 0.5000 0.9545 La
0.6433 0.5000 0.0455 La
0.8567 0.0000 0.9545 La
0.0221 0.5000 0.3196 Mg
0.1848 0.0000 0.6142 Mg
0.3152 0.5000 0.3858 Mg
0.4779 0.0000 0.6804 Mg
0.5221 0.0000 0.3196 Mg
0.6848 0.5000 0.6142 Mg
0.8152 0.0000 0.3858 Mg
0.9779 0.5000 0.6804 Mg
```

Values from the calculation:
total DFT energy (no corrections): -32.7 eV for the cell shown
energy of formation: -0.013 eV per atom
magnetization: 0.34 μB/cell
SG: No. 12

Compound: La3Mg
Source: Materials Project
Functional: PBE
Structure: optimized geometry

The structure in POSCAR format:
```
La3Mg
1.0
5.1167 0.0000 0.0000
0.0000 5.1167 0.0000
0.0000 0.0000 5.1167
La Mg
3 1
direct
0.0000 0.0000 0.5000 La
0.0000 0.5000 0.0000 La
0.5000 0.0000 0.0000 La
0.5000 0.5000 0.5000 Mg
```

Values from the calculation:
total DFT energy (no corrections): -16.5 eV for the cell shown
energy of formation: -0.014 eV per atom
SG: No. 221

Compound: La2Mg
Source: Materials Project
Functional: PBE
Structure: optimized geometry

The structure in POSCAR format:
```
La2Mg
1.0
3.1083 1.7946 5.8938
-3.1083 1.7946 5.8938
0.0000 -3.5892 5.8938
La Mg
4 2
direct
0.0000 0.0000 0.0000 La
0.1780 0.8220 0.5000 La
0.5000 0.1780 0.8220 La
0.8220 0.5000 0.1780 La
0.3326 0.3326 0.3326 Mg
0.6674 0.6674 0.6674 Mg
```

Values from the calculation:
total DFT energy (no corrections): -22.9 eV for the cell shown
energy of formation: 0.005 eV per atom
excess energy over the best structure of this formula in the dataset: 0.15 eV/f.u.
magnetization: 0.00 μB/cell
SG: No. 155

Compound: LaMg2
Source: Materials Project
Functional: PBE
Structure: optimized geometry

The structure in POSCAR format:
```
LaMg2
1.0
0.0000 4.3912 4.3912
4.3912 0.0000 4.3912
4.3912 4.3912 0.0000
La Mg
2 4
direct
0.1250 0.1250 0.1250 La
0.8750 0.8750 0.8750 La
0.0000 0.5000 0.5000 Mg
0.5000 0.0000 0.5000 Mg
0.5000 0.5000 0.0000 Mg
0.5000 0.5000 0.5000 Mg
```

Values from the calculation:
total DFT energy (no corrections): -17.0 eV for the cell shown
energy of formation: -0.125 eV per atom
SG: No. 227